No. 1
Compound: TbTlPd
Source: Materials Project
Functional: r2SCAN
Structure: optimized geometry

E, eV for the cell shown: -328.74
M_tot, Bohr magnetons per cell: 0.00

Cell lengths 7.807, 7.807, 3.785 Å; angles 90.00, 90.00, 120.00 degrees
Atoms (fractional coordinates):
Tl  0.732  0.732  0.000
Pd  0.667  0.333  0.000
Tl  0.000  0.268  0.000
Tb  0.598  0.000  0.500
Tb  0.000  0.598  0.500
Tl  0.268  0.000  0.000
Pd  0.000  0.000  0.500
Pd  0.333  0.667  0.000
Tb  0.402  0.402  0.500


No. 2
Compound: Hf7Cu10
Source: Materials Project
Functional: r2SCAN
Structure: optimized geometry

E, eV for the cell shown: -855.87
M_tot, Bohr magnetons per cell: 0.00

Cell lengths 7.751, 7.751, 9.218 Å; angles 90.00, 90.00, 107.54 degrees
Atoms (fractional coordinates):
Hf  0.812  0.812  0.309
Cu  0.607  0.607  0.102
Hf  0.311  0.689  0.000
Cu  0.943  0.650  0.007
Cu  0.850  0.557  0.507
Hf  0.513  0.013  0.250
Cu  0.393  0.393  0.898
Hf  0.312  0.312  0.191
Cu  0.338  0.629  0.705
Cu  0.871  0.162  0.205
Cu  0.557  0.850  0.507
Cu  0.893  0.893  0.602
Cu  0.057  0.350  0.993
Cu  0.629  0.338  0.705
Hf  0.188  0.188  0.691
Cu  0.662  0.371  0.295
Hf  0.689  0.311  0.000
Hf  0.013  0.513  0.250
Hf  0.000  0.000  0.000
Cu  0.838  0.129  0.795
Hf  0.688  0.688  0.809
Cu  0.162  0.871  0.205
Hf  0.189  0.811  0.500
Cu  0.650  0.943  0.007
Cu  0.129  0.838  0.795
Cu  0.150  0.443  0.493
Cu  0.107  0.107  0.398
Hf  0.811  0.189  0.500
Hf  0.487  0.987  0.750
Cu  0.443  0.150  0.493
Hf  0.987  0.487  0.750
Cu  0.350  0.057  0.993
Cu  0.371  0.662  0.295
Hf  0.500  0.500  0.500


No. 3
Compound: ErSnRu2
Source: Materials Project
Functional: r2SCAN
Structure: optimized geometry

E, eV for the cell shown: -111.22
M_tot, Bohr magnetons per cell: 0.00

Cell lengths 4.620, 4.620, 4.620 Å; angles 60.00, 60.00, 60.00 degrees
Atoms (fractional coordinates):
Sn  0.750  0.750  0.750
Ru  0.500  0.500  0.500
Ru  0.000  0.000  0.000
Er  0.250  0.250  0.250


No. 4
Compound: CaAg3
Source: Materials Project
Functional: r2SCAN
Structure: optimized geometry

E, eV for the cell shown: -71.73
M_tot, Bohr magnetons per cell: 0.00

Cell lengths 4.881, 4.881, 4.881 Å; angles 60.00, 60.00, 60.00 degrees
Atoms (fractional coordinates):
Ag  0.750  0.750  0.750
Ca  0.000  0.000  0.000
Ag  0.250  0.250  0.250
Ag  0.500  0.500  0.500


No. 5
Compound: PdF2
Source: Materials Project
Functional: r2SCAN
Structure: optimized geometry

E, eV for the cell shown: -66.49
M_tot, Bohr magnetons per cell: 4.00

Cell lengths 3.428, 4.976, 4.976 Å; angles 90.00, 90.00, 90.00 degrees
Atoms (fractional coordinates):
Pd  0.000  0.000  0.000
Pd  0.500  0.500  0.500
F  0.000  0.693  0.693
F  0.500  0.193  0.807
F  0.000  0.307  0.307
F  0.500  0.807  0.193


No. 6
Compound: ScN
Source: Materials Project
Functional: r2SCAN
Structure: optimized geometry

E, eV for the cell shown: -24.90
M_tot, Bohr magnetons per cell: 0.00

Cell lengths 3.190, 3.190, 3.190 Å; angles 60.00, 60.00, 60.00 degrees
Atoms (fractional coordinates):
N  0.500  0.500  0.500
Sc  0.000  0.000  0.000


Question: The highest E belongs to which entry?
Answer: ScN


What did the fifth record say?
Compound: PdF2
Source: Materials Project
Functional: r2SCAN
Structure: optimized geometry

E, eV for the cell shown: -66.49
M_tot, Bohr magnetons per cell: 4.00

Cell lengths 3.428, 4.976, 4.976 Å; angles 90.00, 90.00, 90.00 degrees
Atoms (fractional coordinates):
Pd  0.000  0.000  0.000
Pd  0.500  0.500  0.500
F  0.000  0.693  0.693
F  0.500  0.193  0.807
F  0.000  0.307  0.307
F  0.500  0.807  0.193


Question: What is the formula in the sixth record?
Answer: ScN